<i>
Density functional theory data (PBE) for a geometry-optimized Sc structure.

Geometry as POSCAR:
```
Sc
1.0
6.1549 0.0000 0.0000
0.0000 6.1549 0.0000
0.0000 0.0000 5.4047
Sc
8
direct
0.1646 0.3354 0.0000
0.1646 0.6646 0.5000
0.3354 0.1646 0.5000
0.3354 0.8354 0.0000
0.6646 0.1646 0.0000
0.6646 0.8354 0.5000
0.8354 0.3354 0.5000
0.8354 0.6646 0.0000
```

Values from the calculation:
As for the total magnetization: 0.00 μB per atom. The calculated volume is 25.6 Å³/f.u.



<ii>
Density functional theory data (PBE) for a geometry-optimized Sc structure.

Geometry as POSCAR:
```
Sc
1.0
3.3187 0.0000 0.0000
-1.6593 2.8740 0.0000
0.0000 0.0000 5.1780
Sc
2
direct
0.3333 0.6667 0.2500
0.6667 0.3333 0.7500
```

Values from the calculation:
The calculated volume is 24.7 Å³/f.u.



Most stable: <ii>



<i>
Density functional theory data (PBE) for a geometry-optimized NaAsO6 structure.

Geometry as POSCAR:
```
NaAsO6
1.0
6.2377 0.0000 0.0000
0.0000 4.6035 0.0000
-1.2652 0.0000 8.5474
Na As O
2 2 12
direct
0.2343 0.0000 0.4505
0.7657 0.5000 0.5495
0.3650 0.2699 0.0733
0.6350 0.7699 0.9267
0.0062 0.2761 0.7843
0.0082 0.0149 0.7416
0.2031 0.5170 0.5538
0.3788 0.4282 0.6453
0.3915 0.9002 0.0040
0.4488 0.2214 0.2805
0.5512 0.7214 0.7195
0.6085 0.4002 0.9960
0.6212 0.9282 0.3547
0.7969 0.0170 0.4462
0.9918 0.5149 0.2584
0.9938 0.7761 0.2157
```

Values from the calculation:
As for the total magnetization: 0.25 μB per atom. The calculated volume is 122.7 Å³/f.u.



<ii>
Density functional theory data (PBE) for a geometry-optimized NaAsO6 structure.

Geometry as POSCAR:
```
NaAsO6
1.0
7.0422 0.0000 0.0000
0.0000 4.6323 0.0000
-1.7993 0.0000 8.8742
Na As O
2 2 12
direct
0.1115 0.0000 0.1022
0.8885 0.5000 0.8978
0.4427 0.4772 0.1081
0.5573 0.9772 0.8919
0.0308 0.1236 0.6868
0.1377 0.9472 0.7666
0.1915 0.5073 0.0635
0.3014 0.5125 0.5673
0.3370 0.2835 0.5082
0.4690 0.0874 0.0672
0.5310 0.5874 0.9328
0.6630 0.7835 0.4918
0.6986 0.0125 0.4327
0.8085 0.0073 0.9365
0.8623 0.4472 0.2334
0.9692 0.6236 0.3132
```

Values from the calculation:
As for the total magnetization: 0.50 μB per atom. The calculated volume is 144.7 Å³/f.u.



Most stable: <ii>



<i>
Density functional theory data (PBE) for a geometry-optimized La2MgSe4 structure.

Geometry as POSCAR:
```
La2MgSe4
1.0
14.8961 0.0000 0.0000
0.0000 8.7456 0.0000
0.0000 0.0000 6.9736
La Mg Se
8 4 16
direct
0.0000 0.0000 0.0000
0.0000 0.5000 0.0000
0.2319 0.2500 0.4993
0.2681 0.7500 0.9993
0.5000 0.0000 0.5000
0.5000 0.5000 0.5000
0.7319 0.2500 0.0007
0.7681 0.7500 0.5007
0.0927 0.7500 0.5817
0.4073 0.2500 0.0817
0.5927 0.7500 0.9183
0.9073 0.2500 0.4183
0.0664 0.2500 0.2579
0.0932 0.7500 0.2162
0.1681 0.5176 0.7507
0.1681 0.9824 0.7507
0.3319 0.0176 0.2507
0.3319 0.4824 0.2507
0.4068 0.2500 0.7162
0.4336 0.7500 0.7579
0.5664 0.2500 0.2421
0.5932 0.7500 0.2838
0.6681 0.5176 0.7493
0.6681 0.9824 0.7493
0.8319 0.0176 0.2493
0.8319 0.4824 0.2493
0.9068 0.2500 0.7838
0.9336 0.7500 0.7421
```

Values from the calculation:
As for the total magnetization: 0.00 μB per atom. The calculated volume is 227.1 Å³/f.u.



<ii>
Density functional theory data (PBE) for a geometry-optimized La2MgSe4 structure.

Geometry as POSCAR:
```
La2MgSe4
1.0
7.8653 0.0000 0.0000
-0.0019 9.1632 0.0000
-1.4645 -2.3623 13.4732
La Mg Se
8 4 16
direct
0.1315 0.4427 0.3074
0.1352 0.9609 0.3114
0.2558 0.1312 0.0004
0.3660 0.3009 0.6906
0.6340 0.6991 0.3094
0.7442 0.8688 0.9996
0.8648 0.0391 0.6886
0.8685 0.5573 0.6926
0.2512 0.6193 0.9923
0.3636 0.7989 0.7019
0.6364 0.2011 0.2981
0.7488 0.3807 0.0077
0.0892 0.4134 0.0984
0.1137 0.8894 0.1015
0.1998 0.5513 0.6238
0.2034 0.0131 0.6287
0.3058 0.7196 0.3823
0.3466 0.2198 0.3744
0.3852 0.8375 0.8916
0.4133 0.3613 0.9003
0.5867 0.6387 0.0997
0.6148 0.1625 0.1084
0.6534 0.7802 0.6256
0.6942 0.2804 0.6177
0.7966 0.9869 0.3713
0.8002 0.4487 0.3762
0.8863 0.1106 0.8985
0.9108 0.5866 0.9016
```

Values from the calculation:
As for the total magnetization: 0.00 μB per atom. The calculated volume is 242.8 Å³/f.u.



Most stable: <i>



<i>
Density functional theory data (PBE) for a geometry-optimized MgBi2O4 structure.

Geometry as POSCAR:
```
MgBi2O4
1.0
12.1447 0.0000 0.0000
0.0000 3.7428 0.0000
-2.2970 0.0000 5.1283
Mg Bi O
2 4 8
direct
0.0000 0.0000 0.0000
0.5000 0.5000 0.0000
0.1985 0.0000 0.7195
0.3855 0.0000 0.3768
0.6985 0.5000 0.7195
0.8855 0.5000 0.3768
0.1840 0.0000 0.0799
0.3091 0.5000 0.8574
0.4861 0.5000 0.6054
0.4932 0.0000 0.1605
0.6840 0.5000 0.0799
0.8091 0.0000 0.8574
0.9861 0.0000 0.6054
0.9932 0.5000 0.1605
```

Values from the calculation:
As for the total magnetization: 0.00 μB per atom. The calculated volume is 116.6 Å³/f.u.



<ii>
Density functional theory data (PBE) for a geometry-optimized MgBi2O4 structure.

Geometry as POSCAR:
```
MgBi2O4
1.0
10.6719 0.0000 0.0000
0.0000 3.3603 0.0000
0.0000 0.0000 11.6192
Mg Bi O
4 8 16
direct
0.2182 0.2500 0.1426
0.2818 0.7500 0.6426
0.7182 0.2500 0.3574
0.7818 0.7500 0.8574
0.0825 0.2500 0.8784
0.1004 0.2500 0.3975
0.3996 0.7500 0.8975
0.4175 0.7500 0.3784
0.5825 0.2500 0.6216
0.6004 0.2500 0.1025
0.8996 0.7500 0.6025
0.9175 0.7500 0.1216
0.0327 0.2500 0.2014
0.0348 0.2500 0.5899
0.1931 0.7500 0.0228
0.2409 0.2500 0.7631
0.2591 0.7500 0.2631
0.3069 0.2500 0.5228
0.4652 0.7500 0.0899
0.4673 0.7500 0.7014
0.5327 0.2500 0.2986
0.5348 0.2500 0.9101
0.6931 0.7500 0.4772
0.7409 0.2500 0.7369
0.7591 0.7500 0.2369
0.8069 0.2500 0.9772
0.9652 0.7500 0.4101
0.9673 0.7500 0.7986
```

Values from the calculation:
As for the total magnetization: 0.00 μB per atom. The calculated volume is 104.2 Å³/f.u.



Most stable: <i>



<i>
Density functional theory data (PBE) for a geometry-optimized MgTa2Te4Br10O structure.

Geometry as POSCAR:
```
MgTa2Te4Br10O
1.0
7.4299 0.0000 0.0000
-2.4261 8.7683 0.0000
-0.5058 -0.6726 9.9827
Mg Ta Te Br O
1 2 4 10 1
direct
0.0000 0.0000 0.0000
0.6094 0.4163 0.6350
0.6317 0.1574 0.9225
0.0423 0.9855 0.3075
0.2161 0.6134 0.2609
0.3354 0.8859 0.4211
0.9163 0.7078 0.1453
0.2804 0.2361 0.5567
0.2955 0.9766 0.8689
0.4429 0.5500 0.7909
0.5216 0.3166 0.0896
0.5879 0.6016 0.4539
0.6608 0.9631 0.1167
0.7461 0.2609 0.4758
0.7724 0.9666 0.7802
0.9236 0.5784 0.7198
0.9827 0.2920 0.9972
0.6220 0.2723 0.7785
```

Values from the calculation:
As for the total magnetization: 0.00 μB per atom. The calculated volume is 650.4 Å³/f.u.



<ii>
Density functional theory data (PBE) for a geometry-optimized MgTa2Te4Br10O structure.

Geometry as POSCAR:
```
MgTa2Te4Br10O
1.0
8.2239 0.0000 0.0000
-2.5536 8.6231 0.0000
-0.4141 -0.7841 10.2805
Mg Ta Te Br O
1 2 4 10 1
direct
0.0000 0.0000 0.0000
0.2204 0.5034 0.5162
0.2816 0.2514 0.7901
0.5661 0.8134 0.0408
0.7625 0.1056 0.1505
0.8498 0.7213 0.1273
0.9096 0.9623 0.3360
0.0573 0.6309 0.6652
0.1532 0.3872 0.9647
0.1812 0.6705 0.3353
0.3185 0.0645 0.0022
0.3419 0.3394 0.3671
0.3716 0.0601 0.6507
0.5012 0.6789 0.5938
0.5748 0.4115 0.8557
0.9191 0.2970 0.4547
0.9639 0.0483 0.7611
0.2399 0.3657 0.6596
```

Values from the calculation:
As for the total magnetization: 0.00 μB per atom. The calculated volume is 729.0 Å³/f.u.



Most stable: <ii>



<i>
Density functional theory data (PBE) for a geometry-optimized MgTa4Cu2O12 structure.

Geometry as POSCAR:
```
MgTa4Cu2O12
1.0
4.9313 0.0000 0.0000
0.0000 8.9205 0.0000
-0.0091 0.0000 5.0871
Mg Ta Cu O
1 4 2 12
direct
0.0000 0.0000 0.0000
0.0000 0.1828 0.5000
0.0000 0.8133 0.5000
0.5000 0.3268 0.0000
0.5000 0.6685 0.0000
0.0000 0.4987 0.5000
0.5000 0.9933 0.0000
0.1892 0.9982 0.6630
0.2441 0.3132 0.6937
0.2438 0.6823 0.6932
0.2478 0.8222 0.1807
0.2492 0.1729 0.1812
0.3044 0.4977 0.1626
0.6956 0.4977 0.8374
0.7508 0.1729 0.8188
0.7522 0.8222 0.8193
0.7559 0.3132 0.3063
0.7562 0.6823 0.3068
0.8108 0.9982 0.3370
```

Values from the calculation:
As for the total magnetization: 0.00 μB per atom. The calculated volume is 223.8 Å³/f.u.



<ii>
Density functional theory data (PBE) for a geometry-optimized MgTa4Cu2O12 structure.

Geometry as POSCAR:
```
MgTa4Cu2O12
1.0
5.0789 0.0000 0.0000
0.0000 5.0789 0.0000
0.0000 0.0000 9.0607
Mg Ta Cu O
1 4 2 12
direct
0.0000 0.0000 0.0000
0.0000 0.5000 0.5625
0.0000 0.5000 0.9006
0.5000 0.0000 0.0994
0.5000 0.0000 0.4375
0.0000 0.5000 0.2559
0.5000 0.0000 0.7441
0.1721 0.3110 0.7462
0.2181 0.2848 0.4335
0.2224 0.2785 0.0627
0.2785 0.7776 0.9373
0.2848 0.7819 0.5665
0.3110 0.8279 0.2538
0.6890 0.1721 0.2538
0.7152 0.2181 0.5665
0.7215 0.2224 0.9373
0.7776 0.7215 0.0627
0.7819 0.7152 0.4335
0.8279 0.6890 0.7462
```

Values from the calculation:
As for the total magnetization: 0.00 μB per atom. The calculated volume is 233.7 Å³/f.u.



Most stable: <i>